Entry from the Materials Project database: an optimized crystal structure of MgMn4Ni2O12 (GGA+U).

```
MgMn4Ni2O12
1.0
5.010 0.000 0.000
-2.489 4.383 0.000
-0.685 -1.383 9.792
Mg Mn Ni O
1 4 2 12
Direct
0.000 0.000 0.000
0.058 0.732 0.254
0.251 0.595 0.754
0.595 0.267 0.754
0.728 0.063 0.255
0.394 0.399 0.254
0.917 0.924 0.733
0.032 0.353 0.149
0.064 0.069 0.356
0.242 0.897 0.652
0.265 0.273 0.852
0.352 0.034 0.149
0.423 0.762 0.348
0.545 0.549 0.653
0.638 0.960 0.852
0.728 0.731 0.140
0.756 0.430 0.348
0.894 0.268 0.648
0.955 0.626 0.862
```

Output
Total energy after the MP2020 corrections = -7.398 eV per atom
ΔH_f (0 K) = -1.65 eV/atom
Polymorph energy (0 for the lowest one) = 0 meV/atom